# Li3TiN2 (PBE, optimized geometry)
# Calculated density: 2.8 Mg/m³
# M_tot: 0.0 μB/f.u.
# ΔH_f (0 K): -551 kJ/mol of formula units
data_Li3TiN2
_cell_length_a 9.752
_cell_length_b 9.752
_cell_length_c 9.752
_cell_angle_alpha 90.00
_cell_angle_beta 90.00
_cell_angle_gamma 90.00
_space_group_name_H-M_alt 'I a -3'
_space_group_IT_number 206
_space_group_name_Hall '-I 2b 2c 3'
loop_
_atom_site_label
_atom_site_type_symbol
_atom_site_fract_x
_atom_site_fract_y
_atom_site_fract_z
_atom_site_occupancy
Li1 Li 0.094 0.140 0.866 1
Ti1 Ti 0.133 0.133 0.133 1
N1 N 0.000 0.250 0.024 1
N2 N 0.250 0.250 0.250 1

# SiH14C4S2N8F6 (PBE, optimized geometry)
# Calculated density: 1.7 Mg/m³
# M_tot: 0.0 μB/f.u.
# ΔH_f (0 K): -3156 kJ/mol of formula units
data_SiH14C4S2N8F6
_cell_length_a 6.617
_cell_length_b 7.502
_cell_length_c 8.026
_cell_angle_alpha 83.80
_cell_angle_beta 83.44
_cell_angle_gamma 66.70
_space_group_name_H-M_alt 'P -1'
_space_group_IT_number 2
_space_group_name_Hall '-P 1'
loop_
_atom_site_label
_atom_site_type_symbol
_atom_site_fract_x
_atom_site_fract_y
_atom_site_fract_z
_atom_site_occupancy
Si1 Si 0.000 0.000 0.000 1
H1 H 0.074 0.641 0.825 1
H2 H 0.153 0.543 0.622 1
H3 H 0.200 0.002 0.435 1
H4 H 0.273 0.474 0.046 1
H5 H 0.275 0.924 0.643 1
H6 H 0.389 0.862 0.225 1
H7 H 0.498 0.252 0.025 1
C1 C 0.334 0.381 0.811 1
C2 C 0.493 0.765 0.461 1
S1 S 0.322 0.380 0.407 1
N1 N 0.167 0.531 0.750 1
N2 N 0.303 0.904 0.517 1
N3 N 0.365 0.360 0.974 1
N4 N 0.483 0.241 0.713 1
F1 F 0.086 0.759 0.066 1
F2 F 0.106 0.044 0.172 1
F3 F 0.251 0.955 0.886 1